(P)
# Li2CoPO4F

A geometry-optimized Li2CoPO4F structure (PBE+U, the Materials Project database).

Calculated values
Crystal system: orthorhombic

Cell: 5.131 11.369 12.971 Å, 90.00 90.00 90.00°
Fractional coordinates of all 72 atoms:
Li1 0.766 0.101 0.631
Li2 0.766 0.601 0.369
Li3 0.734 0.101 0.131
Li4 0.224 0.678 0.759
Li5 0.734 0.601 0.869
Li6 0.724 0.822 0.259
Li7 0.776 0.822 0.759
Li8 0.724 0.322 0.741
Li9 0.234 0.899 0.369
Li10 0.266 0.899 0.869
Li11 0.234 0.399 0.631
Li12 0.776 0.322 0.241
Li13 0.276 0.678 0.259
Li14 0.276 0.178 0.741
Li15 0.266 0.399 0.131
Li16 0.224 0.178 0.241
O1 0.279 0.046 0.125
O2 0.815 0.643 0.725
O3 0.170 0.353 0.471
O4 0.099 0.600 0.118
O5 0.185 0.357 0.275
O6 0.670 0.647 0.029
O7 0.685 0.143 0.775
O8 0.315 0.857 0.225
O9 0.315 0.357 0.775
O10 0.170 0.853 0.529
O11 0.815 0.143 0.275
O12 0.721 0.454 0.125
O13 0.279 0.546 0.875
O14 0.599 0.400 0.382
O15 0.330 0.853 0.029
O16 0.830 0.647 0.529
O17 0.330 0.353 0.971
O18 0.779 0.954 0.375
O19 0.185 0.857 0.725
O20 0.779 0.454 0.625
O21 0.670 0.147 0.971
O22 0.830 0.147 0.471
O23 0.221 0.046 0.625
O24 0.721 0.954 0.875
O25 0.221 0.546 0.375
O26 0.685 0.643 0.225
O27 0.901 0.400 0.882
O28 0.099 0.100 0.882
O29 0.599 0.900 0.618
O30 0.401 0.100 0.382
O31 0.401 0.600 0.618
O32 0.901 0.900 0.118
F1 0.000 0.750 0.900
F2 0.000 0.750 0.362
F3 0.500 0.750 0.400
F4 0.000 0.250 0.638
F5 0.500 0.250 0.138
F6 0.500 0.750 0.862
F7 0.000 0.250 0.100
F8 0.500 0.250 0.600
P1 0.794 0.586 0.127
P2 0.294 0.914 0.627
P3 0.706 0.086 0.373
P4 0.794 0.086 0.873
P5 0.206 0.414 0.873
P6 0.706 0.586 0.627
P7 0.206 0.914 0.127
P8 0.294 0.414 0.373
Co1 0.718 0.831 0.990
Co2 0.218 0.669 0.490
Co3 0.282 0.669 0.990
Co4 0.782 0.331 0.510
Co5 0.282 0.169 0.010
Co6 0.218 0.169 0.510
Co7 0.718 0.331 0.010
Co8 0.782 0.831 0.490

(Q)
# Li2CoPO4F

A geometry-optimized Li2CoPO4F structure (PBE+U, the Materials Project database).

Calculated values
Crystal system: orthorhombic

Cell: 6.423 10.585 10.968 Å, 90.00 90.00 90.00°
Fractional coordinates of all 72 atoms:
O1 0.054 0.033 0.319
O2 0.750 0.170 0.744
O3 0.554 0.967 0.681
O4 0.750 0.670 0.756
O5 0.750 0.389 0.054
O6 0.750 0.889 0.446
O7 0.446 0.033 0.319
O8 0.946 0.467 0.819
O9 0.449 0.810 0.985
O10 0.551 0.690 0.485
O11 0.250 0.527 0.379
O12 0.750 0.973 0.879
O13 0.449 0.310 0.515
O14 0.446 0.533 0.181
O15 0.054 0.533 0.181
O16 0.554 0.467 0.819
O17 0.949 0.190 0.015
O18 0.946 0.967 0.681
O19 0.750 0.718 0.283
O20 0.551 0.190 0.015
O21 0.250 0.330 0.244
O22 0.250 0.782 0.783
O23 0.051 0.810 0.985
O24 0.250 0.611 0.946
O25 0.250 0.111 0.554
O26 0.250 0.830 0.256
O27 0.750 0.473 0.621
O28 0.949 0.690 0.485
O29 0.250 0.282 0.717
O30 0.750 0.218 0.217
O31 0.250 0.027 0.121
O32 0.051 0.310 0.515
Li1 0.990 0.740 0.165
Li2 0.510 0.240 0.335
Li3 0.490 0.260 0.835
Li4 0.010 0.760 0.665
Li5 0.250 0.229 0.082
Li6 0.750 0.771 0.918
Li7 0.010 0.260 0.835
Li8 0.250 0.473 0.774
Li9 0.750 0.271 0.582
Li10 0.990 0.240 0.335
Li11 0.250 0.973 0.726
Li12 0.510 0.740 0.165
Li13 0.750 0.027 0.274
Li14 0.490 0.760 0.665
Li15 0.750 0.527 0.226
Li16 0.250 0.729 0.418
P1 0.750 0.023 0.744
P2 0.250 0.756 0.922
P3 0.250 0.977 0.256
P4 0.750 0.523 0.756
P5 0.750 0.744 0.422
P6 0.250 0.477 0.244
P7 0.250 0.256 0.578
P8 0.750 0.244 0.078
F1 0.250 0.552 0.620
F2 0.750 0.633 0.031
F3 0.750 0.448 0.380
F4 0.750 0.948 0.120
F5 0.250 0.867 0.531
F6 0.250 0.367 0.969
F7 0.250 0.052 0.880
F8 0.750 0.133 0.469
Co1 0.000 0.500 0.500
Co2 0.000 0.000 0.500
Co3 0.000 0.500 0.000
Co4 0.000 0.000 0.000
Co5 0.500 0.500 0.000
Co6 0.500 0.500 0.500
Co7 0.500 0.000 0.500
Co8 0.500 0.000 0.000

Ordering by calculated energy gives the sequence (Q), (P), with the first entry being the most stable.

(P)
# MgCoF5

A geometry-optimized MgCoF5 structure (PBE+U, the Materials Project database).

Calculated values
Crystal system: monoclinic

Cell: 5.251 5.251 7.370 Å, 69.31 69.31 72.15°
Fractional coordinates of all 14 atoms:
F1 0.871 0.129 0.750
F2 0.129 0.871 0.250
F3 0.295 0.681 0.951
F4 0.319 0.705 0.549
F5 0.217 0.264 0.374
F6 0.736 0.783 0.126
F7 0.681 0.295 0.451
F8 0.783 0.736 0.626
F9 0.264 0.217 0.874
F10 0.705 0.319 0.049
Mg1 0.471 0.529 0.250
Mg2 0.529 0.471 0.750
Co1 0.000 0.000 0.500
Co2 0.000 0.000 0.000

(Q)
# MgCoF5

A geometry-optimized MgCoF5 structure (PBE+U, the Materials Project database).

Calculated values
Crystal system: monoclinic

Cell: 9.599 5.185 7.355 Å, 70.04 90.00 90.00°
Fractional coordinates of all 28 atoms:
F1 0.392 0.644 0.511
F2 0.612 0.393 0.075
F3 0.108 0.644 0.011
F4 0.865 0.794 0.153
F5 0.892 0.356 0.989
F6 0.398 0.146 0.804
F7 0.898 0.854 0.696
F8 0.320 0.825 0.167
F9 0.112 0.607 0.425
F10 0.388 0.607 0.925
F11 0.102 0.146 0.304
F12 0.820 0.175 0.333
F13 0.180 0.825 0.667
F14 0.135 0.206 0.847
F15 0.602 0.854 0.196
F16 0.680 0.175 0.833
F17 0.888 0.393 0.575
F18 0.365 0.206 0.347
F19 0.608 0.356 0.489
F20 0.635 0.794 0.653
Mg1 0.512 0.477 0.753
Mg2 0.488 0.523 0.247
Mg3 0.012 0.523 0.747
Mg4 0.988 0.477 0.253
Co1 0.753 0.101 0.602
Co2 0.247 0.899 0.398
Co3 0.747 0.101 0.102
Co4 0.253 0.899 0.898

Ordering by calculated energy gives the sequence (P), (Q), with the first entry being the most stable.

(P)
# MgCo4O6F2

A geometry-optimized MgCo4O6F2 structure (PBE+U, the Materials Project database).

Calculated values
Crystal system: triclinic

Cell: 5.279 5.116 5.659 Å, 92.26 86.34 106.31°
Fractional coordinates of all 13 atoms:
Co1 0.018 0.988 0.509
Co2 0.424 0.601 0.772
Co3 0.505 0.500 0.251
Co4 0.013 0.994 0.012
Mg1 0.973 0.472 0.505
O1 0.881 0.145 0.281
O2 0.170 0.803 0.745
O3 0.315 0.310 0.006
O4 0.687 0.711 0.007
O5 0.704 0.677 0.507
O6 0.300 0.325 0.510
F1 0.162 0.759 0.258
F2 0.848 0.202 0.762

(Q)
# MgCo4O6F2

A geometry-optimized MgCo4O6F2 structure (PBE+U, the Materials Project database).

Calculated values
Crystal system: triclinic

Cell: 5.137 5.142 5.843 Å, 93.39 86.65 107.07°
Fractional coordinates of all 13 atoms:
O1 0.882 0.120 0.277
O2 0.679 0.707 0.989
O3 0.175 0.824 0.744
O4 0.699 0.683 0.496
O5 0.319 0.301 0.496
O6 0.294 0.321 0.989
Mg1 0.708 0.298 0.513
F1 0.831 0.169 0.763
F2 0.216 0.783 0.244
Co1 0.398 0.603 0.756
Co2 0.464 0.537 0.235
Co3 0.034 0.968 0.496
Co4 0.009 0.992 0.003

Ordering by calculated energy gives the sequence (P), (Q), with the first entry being the most stable.